(1)
Material: ZnTe
Method: DFT, PBE
State: relaxed

Computed properties:
uncorrected energy	-2.6747	eV per atom
E_form	-0.6842	eV per atom
calculated volume	29.57	A^3/atom
energy with MP2020 corrections	-23.086	eV/cell
maximum piezoelectric response	0.1	C/m²

a b c (Å): 6.185 6.185 6.185
angles (deg): 90.00 90.00 90.00
Space group F-43m (No. 216)
Unique sites:
Zn (0.000, 0.000, 0.000) (multiplicity 4)
Te (0.250, 0.250, 0.750) (multiplicity 4)

(2)
Material: K30Ga9As19
Method: DFT, PBE
State: relaxed

Computed properties:
uncorrected energy	-3.0502	eV per atom
E_form	-0.4797	eV per atom
calculated volume	34.00	A^3/atom
magnetization	0.00	μB/f.u.

a b c (Å): 29.3730 29.3730 15.8360
angles (deg): 90.00 90.00 120.00
Space group R-3 (No. 148, hexagonal axes)
Unique sites:
K (0.0001, 0.3333, 0.0833) (multiplicity 18)
K (0.0524, 0.4939, 0.4167) (multiplicity 18)
K (0.0531, 0.4943, 0.0834) (multiplicity 18)
K (0.0531, 0.4944, 0.7499) (multiplicity 18)
K (0.0535, 0.8300, 0.2500) (multiplicity 18)
K (0.0531, 0.8300, 0.5830) (multiplicity 18)
K (0.0531, 0.8300, 0.9173) (multiplicity 18)
K (0.0576, 0.1237, 0.0773) (multiplicity 18)
K (0.0576, 0.1237, 0.4225) (multiplicity 18)
K (0.0592, 0.1277, 0.7502) (multiplicity 18)
Ga (0.0182, 0.2611, 0.2501) (multiplicity 18)
Ga (0.0183, 0.2619, 0.5842) (multiplicity 18)
Ga (0.0185, 0.2619, 0.9157) (multiplicity 18)
As (0.0000, 0.0000, 0.0000) (multiplicity 3)
As (0.0000, 0.0000, 0.5000) (multiplicity 3)
As (0.0188, 0.5919, 0.0833) (multiplicity 18)
As (0.0194, 0.5922, 0.4165) (multiplicity 18)
As (0.0193, 0.5924, 0.7502) (multiplicity 18)
As (0.0367, 0.1900, 0.2500) (multiplicity 18)
As (0.0368, 0.1912, 0.5847) (multiplicity 18)
As (0.0369, 0.1911, 0.9152) (multiplicity 18)